Below is a relaxed structure of RbLiWO5, with properties calculated at the GGA+U level.

Energy ... -46.8 eV/f.u.
M_tot ... 0.250 μB/atom
Energy relative to the elements ... -1.755 eV per atom
V ... 1131.20 Å³ per cell

a = 7.7547 Å, b = 13.0522 Å, c = 11.1761 Å
α = 90.00°, β = 90.00°, γ = 90.00°
With the nearest neighbours (Å) after each atom.
Fractional coordinates of all 64 atoms:
Rb1 0.1880 0.1259 0.2033  6 O 2.77-3.08
Rb2 0.1880 0.3741 0.7033  6 O 2.77-3.08
Rb3 0.3120 0.6259 0.2033  6 O 2.77-3.08
Rb4 0.3120 0.8741 0.7033  6 O 2.77-3.08
Rb5 0.6880 0.1259 0.2967  6 O 2.77-3.08
Rb6 0.6880 0.3741 0.7967  6 O 2.77-3.08
Rb7 0.8120 0.6259 0.2967  6 O 2.77-3.08
Rb8 0.8120 0.8741 0.7967  6 O 2.77-3.08
Li1 0.0088 0.1744 0.9145  4 O 1.94-2.10
Li2 0.0088 0.3256 0.4145  4 O 1.94-2.10
Li3 0.4912 0.6744 0.9145  4 O 1.94-2.10
Li4 0.4912 0.8256 0.4145  4 O 1.94-2.10
Li5 0.5088 0.1744 0.5855  4 O 1.94-2.10
Li6 0.5088 0.3256 0.0855  4 O 1.94-2.10
Li7 0.9912 0.6744 0.5855  4 O 1.94-2.10
Li8 0.9912 0.8256 0.0855  4 O 1.94-2.10
W1 0.0611 0.6239 0.8817  4 O 1.79-1.85
W2 0.0611 0.8761 0.3817  4 O 1.79-1.85
W3 0.4389 0.1239 0.8817  4 O 1.79-1.85
W4 0.4389 0.3761 0.3817  4 O 1.79-1.85
W5 0.5611 0.6239 0.6183  4 O 1.79-1.85
W6 0.5611 0.8761 0.1183  4 O 1.79-1.85
W7 0.9389 0.1239 0.6183  4 O 1.79-1.85
W8 0.9389 0.3761 0.1183  4 O 1.79-1.85
O1 0.0392 0.0046 0.6565  1 W 1.79
O2 0.0392 0.4954 0.1565  1 W 1.79
O3 0.0652 0.1985 0.5079  1 W 1.85, 1 Li 2.01
O4 0.0652 0.3015 0.0079  1 W 1.85, 1 Li 2.01
O5 0.0743 0.7019 0.7466  1 W 1.82, 1 Li 1.95
O6 0.0743 0.7981 0.2466  1 W 1.82, 1 Li 1.95
O7 0.1678 0.6207 0.4577  1 Li 2.10
O8 0.1678 0.8793 0.9577  1 Li 2.10
O9 0.2221 0.0982 0.9347  1 W 1.81, 1 Li 1.94
O10 0.2221 0.4018 0.4347  1 W 1.81, 1 Li 1.94
O11 0.2779 0.5982 0.9347  1 W 1.81, 1 Li 1.94
O12 0.2779 0.9018 0.4347  1 W 1.81, 1 Li 1.94
O13 0.3322 0.1207 0.4577  1 Li 2.10
O14 0.3322 0.3793 0.9577  1 Li 2.10
O15 0.4257 0.2019 0.7466  1 W 1.82, 1 Li 1.95
O16 0.4257 0.2981 0.2466  1 W 1.82, 1 Li 1.95
O17 0.4348 0.6985 0.5079  1 W 1.85, 1 Li 2.01
O18 0.4348 0.8015 0.0079  1 W 1.85, 1 Li 2.01
O19 0.4608 0.5046 0.6565  1 W 1.79
O20 0.4608 0.9954 0.1565  1 W 1.79
O21 0.5392 0.0046 0.8435  1 W 1.79
O22 0.5392 0.4954 0.3435  1 W 1.79
O23 0.5652 0.1985 0.9921  1 W 1.85, 1 Li 2.01
O24 0.5652 0.3015 0.4921  1 W 1.85, 1 Li 2.01
O25 0.5743 0.7019 0.7534  1 W 1.82, 1 Li 1.95
O26 0.5743 0.7981 0.2534  1 W 1.82, 1 Li 1.95
O27 0.6678 0.6207 0.0423  1 Li 2.10
O28 0.6678 0.8793 0.5423  1 Li 2.10
O29 0.7221 0.0982 0.5653  1 W 1.81, 1 Li 1.94
O30 0.7221 0.4018 0.0653  1 W 1.81, 1 Li 1.94
O31 0.7779 0.5982 0.5653  1 W 1.81, 1 Li 1.94
O32 0.7779 0.9018 0.0653  1 W 1.81, 1 Li 1.94
O33 0.8322 0.1207 0.0423  1 Li 2.10
O34 0.8322 0.3793 0.5423  1 Li 2.10
O35 0.9257 0.2019 0.7534  1 W 1.82, 1 Li 1.95
O36 0.9257 0.2981 0.2534  1 W 1.82, 1 Li 1.95
O37 0.9348 0.6985 0.9921  1 W 1.85, 1 Li 2.01
O38 0.9348 0.8015 0.4921  1 W 1.85, 1 Li 2.01
O39 0.9608 0.5046 0.8435  1 W 1.79
O40 0.9608 0.9954 0.3435  1 W 1.79


Below is a relaxed structure of Li2V2S3O12, with properties calculated at the GGA+U level.

Energy ... -122.9 eV/f.u.
M_tot ... 0.316 μB/atom
Energy relative to the elements ... -2.143 eV per atom
V ... 1907.77 Å³ per cell

a = 8.7859 Å, b = 8.9034 Å, c = 24.3885 Å
α = 90.00°, β = 90.00°, γ = 90.00°
With the nearest neighbours (Å) after each atom.
Fractional coordinates of all 152 atoms:
Li1 0.0372 0.1224 0.2093  4 O 1.98-2.01
Li2 0.0372 0.3776 0.7093  4 O 1.98-2.01
Li3 0.1443 0.0684 0.9905  4 O 1.97-2.07
Li4 0.1443 0.4316 0.4905  4 O 1.97-2.07
Li5 0.3557 0.5684 0.9905  4 O 1.97-2.07
Li6 0.3557 0.9316 0.4905  4 O 1.97-2.07
Li7 0.4628 0.6224 0.2093  4 O 1.98-2.01
Li8 0.4628 0.8776 0.7093  4 O 1.98-2.01
Li9 0.5372 0.1224 0.2907  4 O 1.98-2.01
Li10 0.5372 0.3776 0.7907  4 O 1.98-2.01
Li11 0.6443 0.0684 0.5095  4 O 1.97-2.07
Li12 0.6443 0.4316 0.0095  4 O 1.97-2.07
Li13 0.8557 0.5684 0.5095  4 O 1.97-2.07
Li14 0.8557 0.9316 0.0095  4 O 1.97-2.07
Li15 0.9628 0.6224 0.2907  4 O 1.98-2.01
Li16 0.9628 0.8776 0.7907  4 O 1.98-2.01
V1 0.0017 0.7035 0.6795  6 O 2.14-2.22
V2 0.0017 0.7965 0.1795  6 O 2.14-2.22
V3 0.0033 0.5996 0.9372  6 O 2.11-2.26
V4 0.0033 0.9004 0.4372  6 O 2.11-2.26
V5 0.4967 0.0996 0.9372  6 O 2.11-2.26
V6 0.4967 0.4004 0.4372  6 O 2.11-2.26
V7 0.4983 0.2035 0.6795  6 O 2.14-2.22
V8 0.4983 0.2965 0.1795  6 O 2.14-2.22
V9 0.5017 0.7035 0.8205  6 O 2.14-2.22
V10 0.5017 0.7965 0.3205  6 O 2.14-2.22
V11 0.5033 0.5996 0.5628  6 O 2.11-2.26
V12 0.5033 0.9004 0.0628  6 O 2.11-2.26
V13 0.9967 0.0996 0.5628  6 O 2.11-2.26
V14 0.9967 0.4004 0.0628  6 O 2.11-2.26
V15 0.9983 0.2035 0.8205  6 O 2.14-2.22
V16 0.9983 0.2965 0.3205  6 O 2.14-2.22
S1 0.1441 0.0533 0.7005  4 O 1.46-1.50
S2 0.1441 0.4467 0.2005  4 O 1.46-1.50
S3 0.1486 0.7459 0.5520  4 O 1.47-1.53
S4 0.1486 0.7541 0.0520  4 O 1.47-1.53
S5 0.1950 0.5931 0.3837  4 O 1.46-1.50
S6 0.1950 0.9069 0.8837  4 O 1.46-1.50
S7 0.3050 0.0931 0.3837  4 O 1.46-1.50
S8 0.3050 0.4069 0.8837  4 O 1.46-1.50
S9 0.3514 0.2459 0.5520  4 O 1.47-1.53
S10 0.3514 0.2541 0.0520  4 O 1.47-1.53
S11 0.3559 0.5533 0.7005  4 O 1.46-1.50
S12 0.3559 0.9467 0.2005  4 O 1.46-1.50
S13 0.6441 0.0533 0.7995  4 O 1.46-1.50
S14 0.6441 0.4467 0.2995  4 O 1.46-1.50
S15 0.6486 0.7459 0.9480  4 O 1.47-1.53
S16 0.6486 0.7541 0.4480  4 O 1.47-1.53
S17 0.6950 0.5931 0.1163  4 O 1.46-1.50
S18 0.6950 0.9069 0.6163  4 O 1.46-1.50
S19 0.8050 0.0931 0.1163  4 O 1.46-1.50
S20 0.8050 0.4069 0.6163  4 O 1.46-1.50
S21 0.8514 0.2459 0.9480  4 O 1.47-1.53
S22 0.8514 0.2541 0.4480  4 O 1.47-1.53
S23 0.8559 0.5533 0.7995  4 O 1.46-1.50
S24 0.8559 0.9467 0.2995  4 O 1.46-1.50
O1 0.0652 0.6105 0.5343  1 S 1.48
O2 0.0652 0.8895 0.0343  1 S 1.48
O3 0.0826 0.5925 0.2213  1 S 1.49
O4 0.0826 0.9075 0.7213  1 S 1.49
O5 0.0844 0.6138 0.0241  1 S 1.53
O6 0.0844 0.8862 0.5241  1 S 1.53
O7 0.0890 0.0868 0.6452  1 S 1.46
O8 0.0890 0.4132 0.1452  1 S 1.46
O9 0.0939 0.1773 0.7379  1 S 1.50
O10 0.0939 0.3227 0.2379  1 S 1.50
O11 0.0943 0.6885 0.4169  1 S 1.47
O12 0.0943 0.8115 0.9169  1 S 1.47
O13 0.0980 0.5103 0.3431  1 S 1.50
O14 0.0980 0.9897 0.8431  1 S 1.50
O15 0.1397 0.7314 0.1115  1 S 1.47
O16 0.1397 0.7686 0.6115  1 S 1.47
O17 0.1859 0.5449 0.7023  1 S 1.50
O18 0.1859 0.9551 0.2023  1 S 1.50
O19 0.1896 0.1788 0.3537  1 S 1.46
O20 0.1896 0.2368 0.5335  1 S 1.49
O21 0.1896 0.2632 0.0335  1 S 1.49
O22 0.1896 0.3212 0.8537  1 S 1.46
O23 0.2316 0.5168 0.9224  1 S 1.50
O24 0.2316 0.9832 0.4224  1 S 1.50
O25 0.2684 0.0168 0.9224  1 S 1.50
O26 0.2684 0.4832 0.4224  1 S 1.50
O27 0.3104 0.6788 0.3537  1 S 1.46
O28 0.3104 0.7368 0.5335  1 S 1.49
O29 0.3104 0.7632 0.0335  1 S 1.49
O30 0.3104 0.8212 0.8537  1 S 1.46
O31 0.3141 0.0449 0.7023  1 S 1.50
O32 0.3141 0.4551 0.2023  1 S 1.50
O33 0.3603 0.2314 0.1115  1 S 1.47
O34 0.3603 0.2686 0.6115  1 S 1.47
O35 0.4020 0.0103 0.3431  1 S 1.50
O36 0.4020 0.4897 0.8431  1 S 1.50
O37 0.4057 0.1885 0.4169  1 S 1.47
O38 0.4057 0.3115 0.9169  1 S 1.47
O39 0.4061 0.6773 0.7379  1 S 1.50
O40 0.4061 0.8227 0.2379  1 S 1.50
O41 0.4110 0.5868 0.6452  1 S 1.46
O42 0.4110 0.9132 0.1452  1 S 1.46
O43 0.4156 0.1138 0.0241  1 S 1.53
O44 0.4156 0.3862 0.5241  1 S 1.53
O45 0.4174 0.0925 0.2213  1 S 1.49
O46 0.4174 0.4075 0.7213  1 S 1.49
O47 0.4348 0.1105 0.5343  1 S 1.48
O48 0.4348 0.3895 0.0343  1 S 1.48
O49 0.5652 0.6105 0.9657  1 S 1.48
O50 0.5652 0.8895 0.4657  1 S 1.48
O51 0.5826 0.5925 0.2787  1 S 1.49
O52 0.5826 0.9075 0.7787  1 S 1.49
O53 0.5844 0.6138 0.4759  1 S 1.53
O54 0.5844 0.8862 0.9759  1 S 1.53
O55 0.5890 0.0868 0.8548  1 S 1.46
O56 0.5890 0.4132 0.3548  1 S 1.46
O57 0.5939 0.1773 0.7621  1 S 1.50
O58 0.5939 0.3227 0.2621  1 S 1.50
O59 0.5943 0.6885 0.0831  1 S 1.47
O60 0.5943 0.8115 0.5831  1 S 1.47
O61 0.5980 0.5103 0.1569  1 S 1.50
O62 0.5980 0.9897 0.6569  1 S 1.50
O63 0.6397 0.7314 0.3885  1 S 1.47
O64 0.6397 0.7686 0.8885  1 S 1.47
O65 0.6859 0.5449 0.7977  1 S 1.50
O66 0.6859 0.9551 0.2977  1 S 1.50
O67 0.6896 0.1788 0.1463  1 S 1.46
O68 0.6896 0.2368 0.9665  1 S 1.49
O69 0.6896 0.2632 0.4665  1 S 1.49
O70 0.6896 0.3212 0.6463  1 S 1.46
O71 0.7316 0.5168 0.5776  1 S 1.50
O72 0.7316 0.9832 0.0776  1 S 1.50
O73 0.7684 0.0168 0.5776  1 S 1.50
O74 0.7684 0.4832 0.0776  1 S 1.50
O75 0.8104 0.6788 0.1463  1 S 1.46
O76 0.8104 0.7368 0.9665  1 S 1.49
O77 0.8104 0.7632 0.4665  1 S 1.49
O78 0.8104 0.8212 0.6463  1 S 1.46
O79 0.8141 0.0449 0.7977  1 S 1.50
O80 0.8141 0.4551 0.2977  1 S 1.50
O81 0.8603 0.2314 0.3885  1 S 1.47
O82 0.8603 0.2686 0.8885  1 S 1.47
O83 0.9020 0.0103 0.1569  1 S 1.50
O84 0.9020 0.4897 0.6569  1 S 1.50
O85 0.9057 0.1885 0.0831  1 S 1.47
O86 0.9057 0.3115 0.5831  1 S 1.47
O87 0.9061 0.6773 0.7621  1 S 1.50
O88 0.9061 0.8227 0.2621  1 S 1.50
O89 0.9110 0.5868 0.8548  1 S 1.46
O90 0.9110 0.9132 0.3548  1 S 1.46
O91 0.9156 0.1138 0.4759  1 S 1.53
O92 0.9156 0.3862 0.9759  1 S 1.53
O93 0.9174 0.0925 0.2787  1 S 1.49
O94 0.9174 0.4075 0.7787  1 S 1.49
O95 0.9348 0.1105 0.9657  1 S 1.48
O96 0.9348 0.3895 0.4657  1 S 1.48


Below is a relaxed structure of LiVS3O12, with properties calculated at the GGA+U level.

Energy ... -105.3 eV/f.u.
M_tot ... 0.000 μB/atom
Energy relative to the elements ... -1.908 eV per atom
V ... 477.90 Å³ per cell

a = 8.2169 Å, b = 8.4289 Å, c = 8.4435 Å
α = 108.71°, β = 106.39°, γ = 107.87°
With the nearest neighbours (Å) after each atom.
Fractional coordinates of all 34 atoms:
Li1 0.0000 0.0000 0.0000  3 O 2.00-2.10
Li2 0.1234 0.3456 0.6759  3 O 1.96-2.01
V1 0.2610 0.8642 0.4420  6 O 1.83-1.98
V2 0.7377 0.3852 0.9399  6 O 1.83-1.99
S1 0.0003 0.4173 0.3273  4 O 1.44-1.59
S2 0.1509 0.6570 0.0041  4 O 1.44-1.57
S3 0.3394 0.1014 0.8820  4 O 1.43-1.58
S4 0.4610 0.3056 0.5326  4 O 1.42-1.59
S5 0.7156 0.9941 0.6923  4 O 1.44-1.56
S6 0.8155 0.7975 0.2174  4 O 1.43-1.57
O1 0.0333 0.8615 0.3116  1 S 1.57
O2 0.0705 0.7757 0.9595  1 S 1.44
O3 0.0872 0.3188 0.2345  1 S 1.44
O4 0.1399 0.6335 0.4262  1 S 1.59
O5 0.1896 0.1360 0.9208  1 S 1.45
O6 0.2456 0.5888 0.8974  1 S 1.44
O7 0.2602 0.9987 0.6653  1 S 1.58
O8 0.2795 0.7453 0.2082  1 S 1.52
O9 0.3334 0.3493 0.6079  1 S 1.45
O10 0.3865 0.0955 0.4262  1 S 1.52
O11 0.4190 0.0006 0.9602  1 S 1.43
O12 0.4895 0.2920 0.9289  1 S 1.54
O13 0.5030 0.8808 0.5653  1 S 1.54
O14 0.5223 0.3973 0.4307  1 S 1.42
O15 0.6454 0.3557 0.7033  1 S 1.59
O16 0.7225 0.1419 0.8649  1 S 1.56
O17 0.7282 0.7393 0.3261  1 S 1.43
O18 0.7543 0.6239 0.0353  1 S 1.56
O19 0.7793 0.8739 0.7546  1 S 1.45
O20 0.7926 0.9380 0.1645  1 S 1.44
O21 0.8151 0.0879 0.6091  1 S 1.44
O22 0.8247 0.4069 0.1947  1 S 1.51
O23 0.9631 0.3783 0.4713  1 S 1.44
O24 0.9887 0.4762 0.9717  1 S 1.57


Below is a relaxed structure of LiV2S3O12, with properties calculated at the GGA+U level.

Energy ... -118.4 eV/f.u.
M_tot ... 0.278 μB/atom
Energy relative to the elements ... -2.119 eV per atom
V ... 927.78 Å³ per cell

a = 8.5634 Å, b = 8.8933 Å, c = 14.8181 Å
α = 90.00°, β = 124.70°, γ = 90.00°
With the nearest neighbours (Å) after each atom.
Fractional coordinates of all 72 atoms:
Li1 0.0102 0.2194 0.3200  4 O 1.97-2.05
Li2 0.0102 0.2806 0.8200  4 O 1.97-2.05
Li3 0.9898 0.7194 0.1800  4 O 1.97-2.05
Li4 0.9898 0.7806 0.6800  4 O 1.97-2.05
V1 0.1434 0.5374 0.3897  6 O 2.10-2.20
V2 0.1434 0.9626 0.8897  6 O 2.10-2.20
V3 0.3711 0.5342 0.1167  6 O 2.03-2.12
V4 0.3711 0.9658 0.6167  6 O 2.03-2.12
V5 0.6289 0.0342 0.3833  6 O 2.03-2.12
V6 0.6289 0.4658 0.8833  6 O 2.03-2.12
V7 0.8566 0.0374 0.1103  6 O 2.10-2.20
V8 0.8566 0.4626 0.6103  6 O 2.10-2.20
S1 0.0351 0.1069 0.6440  4 O 1.48-1.49
S2 0.0351 0.3931 0.1440  4 O 1.48-1.49
S3 0.2560 0.6218 0.6528  4 O 1.46-1.49
S4 0.2560 0.8782 0.1528  4 O 1.46-1.49
S5 0.4539 0.2455 0.4922  4 O 1.46-1.50
S6 0.4539 0.2545 0.9922  4 O 1.46-1.50
S7 0.5461 0.7455 0.0078  4 O 1.46-1.50
S8 0.5461 0.7545 0.5078  4 O 1.46-1.50
S9 0.7440 0.1218 0.8472  4 O 1.46-1.49
S10 0.7440 0.3782 0.3472  4 O 1.46-1.49
S11 0.9649 0.6069 0.8560  4 O 1.48-1.49
S12 0.9649 0.8931 0.3560  4 O 1.48-1.49
O1 0.0188 0.2458 0.1854  1 S 1.49
O2 0.0188 0.2542 0.6854  1 S 1.49
O3 0.0837 0.5121 0.2268  1 S 1.49
O4 0.0837 0.9879 0.7268  1 S 1.49
O5 0.1147 0.5911 0.6790  1 S 1.49
O6 0.1147 0.9089 0.1790  1 S 1.49
O7 0.1515 0.5660 0.9569  1 S 1.48
O8 0.1515 0.9340 0.4569  1 S 1.48
O9 0.1780 0.5821 0.5390  1 S 1.46
O10 0.1780 0.9179 0.0390  1 S 1.46
O11 0.1838 0.1151 0.6220  1 S 1.49
O12 0.1838 0.3849 0.1220  1 S 1.49
O13 0.2580 0.1907 0.9345  1 S 1.49
O14 0.2580 0.3093 0.4345  1 S 1.49
O15 0.2942 0.7133 0.1722  1 S 1.49
O16 0.2942 0.7867 0.6722  1 S 1.49
O17 0.4051 0.6384 0.4423  1 S 1.46
O18 0.4051 0.8616 0.9423  1 S 1.46
O19 0.4319 0.5318 0.7265  1 S 1.49
O20 0.4319 0.9682 0.2265  1 S 1.49
O21 0.4741 0.1860 0.4043  1 S 1.50
O22 0.4741 0.3140 0.9043  1 S 1.50
O23 0.4769 0.1238 0.5668  1 S 1.48
O24 0.4769 0.3762 0.0668  1 S 1.48
O25 0.5231 0.6238 0.9332  1 S 1.48
O26 0.5231 0.8762 0.4332  1 S 1.48
O27 0.5259 0.6860 0.0957  1 S 1.50
O28 0.5259 0.8140 0.5957  1 S 1.50
O29 0.5681 0.0318 0.7735  1 S 1.49
O30 0.5681 0.4682 0.2735  1 S 1.49
O31 0.5949 0.1384 0.0577  1 S 1.46
O32 0.5949 0.3616 0.5577  1 S 1.46
O33 0.7058 0.2133 0.3278  1 S 1.49
O34 0.7058 0.2867 0.8278  1 S 1.49
O35 0.7420 0.6907 0.5655  1 S 1.49
O36 0.7420 0.8093 0.0655  1 S 1.49
O37 0.8162 0.6151 0.8780  1 S 1.49
O38 0.8162 0.8849 0.3780  1 S 1.49
O39 0.8220 0.0821 0.9610  1 S 1.46
O40 0.8220 0.4179 0.4610  1 S 1.46
O41 0.8485 0.0660 0.5431  1 S 1.48
O42 0.8485 0.4340 0.0431  1 S 1.48
O43 0.8853 0.0911 0.8210  1 S 1.49
O44 0.8853 0.4089 0.3210  1 S 1.49
O45 0.9163 0.0121 0.2732  1 S 1.49
O46 0.9163 0.4879 0.7732  1 S 1.49
O47 0.9812 0.7458 0.3146  1 S 1.49
O48 0.9812 0.7542 0.8146  1 S 1.49


Q: The highest M_tot belongs to which entry?
A: Li2V2S3O12


Q: Among the records above, which one has the lowest energy relative to the elements?
A: Li2V2S3O12